1.
# Co3O2F4 | Materials Project | PBE with a Hubbard U | relaxed
# Energy of formation from the pure elements   -174 kJ/mol of atoms
# Space group   P-1 (2)
data_Co3O2F4
_chemical_formula_sum 'Co6 O4 F8'
_space_group_name_H-M_alt 'P 1'
_space_group_IT_number 1
_space_group_name_Hall 'P 1'
_cell_length_a 4.652
_cell_length_b 5.608
_cell_length_c 7.820
_cell_angle_alpha 92.53
_cell_angle_beta 90.00
_cell_angle_gamma 90.15
loop_
_atom_site_label
_atom_site_type_symbol
_atom_site_fract_x
_atom_site_fract_y
_atom_site_fract_z
_atom_site_occupancy
O1 O 0.289 0.696 0.408 1
O2 O 0.711 0.304 0.592 1
Co1 Co 0.004 0.840 0.849 1
Co2 Co 0.500 0.000 0.500 1
F1 F 0.803 0.799 0.611 1
F2 F 0.691 0.631 0.938 1
O3 O 0.201 0.863 0.073 1
F3 F 0.787 0.472 0.259 1
F4 F 0.304 0.043 0.731 1
Co3 Co 0.453 0.676 0.176 1
F5 F 0.309 0.369 0.062 1
F6 F 0.696 0.957 0.269 1
O4 O 0.799 0.137 0.927 1
Co4 Co 0.000 0.500 0.500 1
F7 F 0.197 0.201 0.389 1
Co5 Co 0.547 0.324 0.824 1
F8 F 0.213 0.528 0.741 1
Co6 Co 0.996 0.160 0.151 1

2.
# V3Fe2CuO12 | Materials Project | PBE with a Hubbard U | relaxed
# Energy of formation from the pure elements   -185 kJ/mol of atoms
# Space group   P-1 (2)
data_V3Fe2CuO12
_chemical_formula_sum 'V6 Fe4 Cu2 O24'
_space_group_name_H-M_alt 'P 1'
_space_group_IT_number 1
_space_group_name_Hall 'P 1'
_cell_length_a 6.701
_cell_length_b 8.237
_cell_length_c 9.987
_cell_angle_alpha 107.14
_cell_angle_beta 102.67
_cell_angle_gamma 102.25
loop_
_atom_site_label
_atom_site_type_symbol
_atom_site_fract_x
_atom_site_fract_y
_atom_site_fract_z
_atom_site_occupancy
V1 V 0.771 0.832 0.235 1
O1 O 0.339 0.721 0.493 1
Fe1 Fe 0.623 0.562 0.894 1
V2 V 0.229 0.168 0.765 1
V3 V 0.120 0.602 0.833 1
O2 O 0.228 0.205 0.941 1
O3 O 0.841 0.190 0.077 1
O4 O 0.506 0.717 0.233 1
O5 O 0.159 0.810 0.923 1
V4 V 0.410 0.225 0.379 1
O6 O 0.132 0.518 0.152 1
O7 O 0.868 0.482 0.848 1
V5 V 0.880 0.398 0.167 1
Cu1 Cu 0.749 0.236 0.734 1
O8 O 0.000 0.231 0.676 1
O9 O 0.772 0.795 0.059 1
Fe2 Fe 0.952 0.295 0.485 1
O10 O 0.821 0.052 0.326 1
O11 O 0.575 0.662 0.744 1
Fe3 Fe 0.377 0.438 0.106 1
O12 O 0.494 0.283 0.767 1
O13 O 0.322 0.997 0.281 1
O14 O 0.425 0.338 0.256 1
Fe4 Fe 0.048 0.705 0.515 1
O15 O 0.664 0.469 0.079 1
Cu2 Cu 0.251 0.764 0.266 1
V6 V 0.590 0.775 0.621 1
O16 O 0.765 0.718 0.524 1
O17 O 0.661 0.279 0.507 1
O18 O 0.678 0.003 0.719 1
O19 O 0.920 0.439 0.358 1
O20 O 0.080 0.561 0.642 1
O21 O 0.000 0.769 0.324 1
O22 O 0.179 0.948 0.674 1
O23 O 0.235 0.282 0.476 1
O24 O 0.336 0.531 0.921 1

3.
# VF2 | Materials Project | PBE with a Hubbard U | relaxed
# Energy of formation from the pure elements   -289 kJ/mol of atoms
# Space group   P4_2/mnm (136)
data_VF2
_chemical_formula_sum 'V2 F4'
_space_group_name_H-M_alt 'P 1'
_space_group_IT_number 1
_space_group_name_Hall 'P 1'
_cell_length_a 4.895
_cell_length_b 4.895
_cell_length_c 3.325
_cell_angle_alpha 90.00
_cell_angle_beta 90.00
_cell_angle_gamma 90.00
loop_
_atom_site_label
_atom_site_type_symbol
_atom_site_fract_x
_atom_site_fract_y
_atom_site_fract_z
_atom_site_occupancy
F1 F 0.806 0.194 0.500 1
V1 V 0.000 0.000 0.000 1
F2 F 0.194 0.806 0.500 1
V2 V 0.500 0.500 0.500 1
F3 F 0.306 0.306 0.000 1
F4 F 0.694 0.694 0.000 1

4.
# Li4Ti2Ni3Sb3O16 | Materials Project | PBE with a Hubbard U | relaxed
# Energy of formation from the pure elements   -211 kJ/mol of atoms
data_Li4Ti2Ni3Sb3O16
_chemical_formula_sum 'Li8 Ti4 Ni6 Sb6 O32'
_space_group_name_H-M_alt 'P 1'
_space_group_IT_number 1
_space_group_name_Hall 'P 1'
_cell_length_a 6.131
_cell_length_b 9.713
_cell_length_c 10.548
_cell_angle_alpha 90.44
_cell_angle_beta 90.00
_cell_angle_gamma 90.00
loop_
_atom_site_label
_atom_site_type_symbol
_atom_site_fract_x
_atom_site_fract_y
_atom_site_fract_z
_atom_site_occupancy
O1 O 0.215 0.847 0.260 1
O2 O 0.000 0.801 0.006 1
Li1 Li 0.000 0.985 0.984 1
O3 O 0.247 0.593 0.093 1
O4 O 0.500 0.590 0.327 1
O5 O 0.751 0.093 0.420 1
O6 O 0.285 0.846 0.759 1
Li2 Li 0.500 0.891 0.174 1
Ni1 Ni 0.244 0.712 0.419 1
Li3 Li 0.500 0.403 0.824 1
O7 O 0.500 0.317 0.497 1
Li4 Li 0.000 0.891 0.674 1
Sb1 Sb 0.000 0.716 0.175 1
Ni2 Ni 0.000 0.214 0.828 1
O8 O 0.219 0.345 0.733 1
O9 O 0.253 0.593 0.593 1
O10 O 0.781 0.345 0.733 1
Li5 Li 0.000 0.504 0.992 1
Sb2 Sb 0.746 0.216 0.082 1
Li6 Li 0.000 0.403 0.324 1
Ni3 Ni 0.500 0.214 0.328 1
Sb3 Sb 0.246 0.216 0.582 1
O11 O 0.000 0.590 0.827 1
Sb4 Sb 0.500 0.716 0.675 1
O12 O 0.500 0.102 0.656 1
O13 O 0.500 0.801 0.506 1
O14 O 0.753 0.593 0.093 1
O15 O 0.281 0.345 0.233 1
Sb5 Sb 0.754 0.216 0.582 1
Ti1 Ti 0.000 0.973 0.360 1
O16 O 0.000 0.102 0.662 1
O17 O 0.000 0.102 0.156 1
O18 O 0.500 0.851 0.987 1
Ni4 Ni 0.744 0.712 0.919 1
Sb6 Sb 0.254 0.216 0.082 1
Ni5 Ni 0.757 0.712 0.419 1
O19 O 0.249 0.093 0.420 1
Ti2 Ti 0.000 0.504 0.678 1
O20 O 0.719 0.345 0.233 1
Ti3 Ti 0.500 0.973 0.860 1
Li7 Li 0.500 0.504 0.492 1
O21 O 0.500 0.606 0.833 1
O22 O 0.747 0.593 0.593 1
O23 O 0.749 0.093 0.920 1
O24 O 0.000 0.606 0.333 1
O25 O 0.000 0.338 0.509 1
O26 O 0.500 0.338 0.009 1
O27 O 0.000 0.851 0.487 1
O28 O 0.251 0.093 0.920 1
Ti4 Ti 0.500 0.504 0.178 1
O29 O 0.500 0.102 0.162 1
Ni6 Ni 0.256 0.712 0.919 1
O30 O 0.785 0.847 0.260 1
O31 O 0.715 0.847 0.759 1
Li8 Li 0.500 0.985 0.484 1
O32 O 0.000 0.317 0.997 1

5.
# Li7Mn5O12 | Materials Project | PBE with a Hubbard U | relaxed
# Energy of formation from the pure elements   -207 kJ/mol of atoms
# Space group   C2 (5)
data_Li7Mn5O12
_chemical_formula_sum 'Li7 Mn5 O12'
_space_group_name_H-M_alt 'P 1'
_space_group_IT_number 1
_space_group_name_Hall 'P 1'
_cell_length_a 5.103
_cell_length_b 5.103
_cell_length_c 9.668
_cell_angle_alpha 85.07
_cell_angle_beta 85.07
_cell_angle_gamma 119.35
loop_
_atom_site_label
_atom_site_type_symbol
_atom_site_fract_x
_atom_site_fract_y
_atom_site_fract_z
_atom_site_occupancy
O1 O 0.579 0.720 0.107 1
O2 O 0.280 0.421 0.893 1
Mn1 Mn 0.492 0.005 0.260 1
Mn2 Mn 0.419 0.581 0.500 1
O3 O 0.696 0.550 0.617 1
O4 O 0.350 0.838 0.631 1
O5 O 0.162 0.650 0.369 1
O6 O 0.656 0.160 0.874 1
O7 O 0.840 0.344 0.126 1
Li1 Li 0.152 0.322 0.266 1
Mn3 Mn 0.927 0.073 0.000 1
Li2 Li 0.825 0.651 0.265 1
Li3 Li 0.079 0.921 0.500 1
O8 O 0.244 0.066 0.121 1
Mn4 Mn 0.995 0.508 0.740 1
Li4 Li 0.743 0.257 0.500 1
Li5 Li 0.349 0.175 0.735 1
O9 O 0.059 0.251 0.623 1
Li6 Li 0.256 0.744 0.000 1
O10 O 0.450 0.304 0.383 1
O11 O 0.934 0.756 0.879 1
Li7 Li 0.678 0.848 0.734 1
Mn5 Mn 0.585 0.415 0.000 1
O12 O 0.749 0.941 0.377 1

6.
# Li9Mn2Co5O16 | Materials Project | PBE with a Hubbard U | relaxed
# Energy of formation from the pure elements   -178 kJ/mol of atoms
# Space group   P1 (1)
data_Li9Mn2Co5O16
_chemical_formula_sum 'Li9 Mn2 Co5 O16'
_space_group_name_H-M_alt 'P 1'
_space_group_IT_number 1
_space_group_name_Hall 'P 1'
_cell_length_a 6.433
_cell_length_b 6.450
_cell_length_c 7.869
_cell_angle_alpha 87.69
_cell_angle_beta 113.91
_cell_angle_gamma 108.38
loop_
_atom_site_label
_atom_site_type_symbol
_atom_site_fract_x
_atom_site_fract_y
_atom_site_fract_z
_atom_site_occupancy
O1 O 0.464 0.024 0.666 1
Li1 Li 0.133 0.445 0.193 1
O2 O 0.939 0.765 0.414 1
O3 O 0.959 0.276 0.911 1
Mn1 Mn 0.002 0.504 0.499 1
O4 O 0.186 0.638 0.760 1
Li2 Li 0.871 0.560 0.812 1
Li3 Li 0.878 0.054 0.317 1
Li4 Li 0.620 0.185 0.933 1
Co1 Co 0.496 0.749 0.742 1
O5 O 0.707 0.901 0.036 1
Mn2 Mn 0.003 0.002 0.004 1
O6 O 0.540 0.479 0.843 1
Co2 Co 0.759 0.633 0.135 1
Co3 Co 0.500 0.247 0.253 1
Li5 Li 0.377 0.311 0.562 1
O7 O 0.037 0.724 0.082 1
O8 O 0.816 0.368 0.240 1
O9 O 0.294 0.097 0.962 1
Co4 Co 0.745 0.121 0.618 1
Li6 Li 0.615 0.690 0.432 1
O10 O 0.296 0.585 0.472 1
Co5 Co 0.249 0.374 0.874 1
O11 O 0.559 0.989 0.339 1
Li7 Li 0.125 0.939 0.679 1
O12 O 0.703 0.399 0.538 1
O13 O 0.042 0.225 0.590 1
Li8 Li 0.252 0.874 0.376 1
O14 O 0.810 0.862 0.737 1
O15 O 0.184 0.146 0.253 1
O16 O 0.456 0.519 0.155 1
Li9 Li 0.383 0.816 0.075 1

- Look up the energy of formation from the pure elements of the sixth one.
  -178 kJ/mol of atoms